Version P
# MgSiH2O4, optimized geometry, DFT PBE
data_MgSiH2O4
_space_group_name_H-M_alt 'P 1 2/m 1'
_space_group_IT_number 10
_cell_length_a 4.2827
_cell_length_b 2.8563
_cell_length_c 4.7777
_cell_angle_alpha 90.00
_cell_angle_beta 93.16
_cell_angle_gamma 90.00
loop_
_space_group_symop_operation_xyz
'x,y,z'
'-x,-y,-z'
'-x,y,-z'
'x,-y,z'
loop_
_atom_site_label
_atom_site_type_symbol
_atom_site_fract_x
_atom_site_fract_y
_atom_site_fract_z
_atom_site_occupancy
Mg1 Mg 0.0000 0.0000 0.0000 1
Si1 Si 0.5000 0.5000 0.5000 1
H1 H 0.0000 0.0000 0.5000 1
H2 H 0.5000 0.5000 0.0000 1
O1 O 0.2560 0.0000 0.6185 1
O2 O 0.2963 0.5000 0.1699 1
# **Total magnetization**: 0.0 μB per formula unit

Version Q
# MgSiH2O4, optimized geometry, DFT PBE
data_MgSiH2O4
_space_group_name_H-M_alt 'P 1 m 1'
_space_group_IT_number 6
_cell_length_a 4.3351
_cell_length_b 2.8596
_cell_length_c 4.8011
_cell_angle_alpha 90.00
_cell_angle_beta 93.34
_cell_angle_gamma 90.00
loop_
_space_group_symop_operation_xyz
'x,y,z'
'x,-y,z'
loop_
_atom_site_label
_atom_site_type_symbol
_atom_site_fract_x
_atom_site_fract_y
_atom_site_fract_z
_atom_site_occupancy
Mg1 Mg 0.0000 0.0000 0.0000 1
Si1 Si 0.5006 0.5000 0.5271 1
H1 H 0.4782 0.5000 0.0415 1
H2 H 0.9650 0.0000 0.4961 1
O1 O 0.2715 0.0000 0.6310 1
O2 O 0.3022 0.5000 0.1833 1
O3 O 0.7233 0.5000 0.8337 1
O4 O 0.7477 0.0000 0.3840 1
# **Total magnetization**: 0.0 μB per formula unit

It is version P that is the least stable of them.

Version P
# MgSiH6O6, optimized geometry, DFT PBE
data_MgSiH6O6
_space_group_name_H-M_alt 'P 1 21 1'
_space_group_IT_number 4
_cell_length_a 5.1413
_cell_length_b 5.2367
_cell_length_c 7.3901
_cell_angle_alpha 90.00
_cell_angle_beta 90.09
_cell_angle_gamma 90.00
loop_
_space_group_symop_operation_xyz
'x,y,z'
'-x,y+1/2,-z'
loop_
_atom_site_label
_atom_site_type_symbol
_atom_site_fract_x
_atom_site_fract_y
_atom_site_fract_z
_atom_site_occupancy
Mg1 Mg 0.2475 0.0000 0.2510 1
Si1 Si 0.2487 0.9986 0.7494 1
H1 H 0.0103 0.1354 0.9925 1
H2 H 0.0662 0.6549 0.4512 1
H3 H 0.2251 0.5519 0.7323 1
H4 H 0.3106 0.4627 0.2164 1
H5 H 0.4103 0.3163 0.9405 1
H6 H 0.4936 0.8807 0.5105 1
O1 O 0.0461 0.6581 0.3171 1
O2 O 0.1021 0.6931 0.6985 1
O3 O 0.1260 0.9856 0.9787 1
O4 O 0.3712 0.0257 0.5206 1
O5 O 0.4089 0.3027 0.8057 1
O6 O 0.4503 0.3390 0.1844 1
# **Total magnetization**: 0.0 μB per formula unit

Version Q
# MgSiH6O6, optimized geometry, DFT PBE
data_MgSiH6O6
_space_group_name_H-M_alt 'P 1 21 1'
_space_group_IT_number 4
_cell_length_a 5.1617
_cell_length_b 5.2026
_cell_length_c 7.3640
_cell_angle_alpha 90.00
_cell_angle_beta 90.08
_cell_angle_gamma 90.00
loop_
_space_group_symop_operation_xyz
'x,y,z'
'-x,y+1/2,-z'
loop_
_atom_site_label
_atom_site_type_symbol
_atom_site_fract_x
_atom_site_fract_y
_atom_site_fract_z
_atom_site_occupancy
Mg1 Mg 0.2472 0.0000 0.2512 1
Si1 Si 0.2520 0.9997 0.7508 1
H1 H 0.0354 0.1931 0.9856 1
H2 H 0.0658 0.3437 0.4472 1
H3 H 0.2263 0.4458 0.7313 1
H4 H 0.3036 0.5365 0.2262 1
H5 H 0.4123 0.6838 0.9489 1
H6 H 0.4585 0.7929 0.5104 1
O1 O 0.0510 0.3413 0.3120 1
O2 O 0.1092 0.3027 0.6908 1
O3 O 0.1331 0.0301 0.9801 1
O4 O 0.3672 0.9591 0.5207 1
O5 O 0.4022 0.6978 0.8131 1
O6 O 0.4418 0.6604 0.1884 1
# **Total magnetization**: 0.0 μB per formula unit

It is version P that is the least stable of them.